Entry 1:
Sc2NiRh: optimized geometry, GGA-PBE.

a = 4.542 Å, b = 4.542 Å, c = 4.542 Å
α = 60.00°, β = 60.00°, γ = 60.00°
Fractional coordinates of all 4 atoms:
Sc: 0.250 0.250 0.250
Sc: 0.750 0.750 0.750
Ni: 0.000 0.000 0.000
Rh: 0.500 0.500 0.500

=====

Entry 2:
NiRh2Se4: optimized geometry, GGA-PBE.

a = 6.430 Å, b = 6.430 Å, c = 6.398 Å
α = 117.93°, β = 117.93°, γ = 33.71°
Fractional coordinates of all 7 atoms:
Ni: 0.000 0.000 0.000
Rh: 0.264 0.264 0.283
Rh: 0.736 0.736 0.717
Se: 0.116 0.116 0.448
Se: 0.368 0.368 0.022
Se: 0.632 0.632 0.978
Se: 0.884 0.884 0.552

=====

Energy of formation from the pure elements, respectively: -0.7488, -0.6063 eV/atom.